1.
A plane-wave DFT calculation with PBE+U was carried out for crystalline GdMoBrO4 at its relaxed geometry.

Cell: 6.9759 7.3787 11.2096 Å, 106.30 107.12 92.33°
Closest atoms and distances in Å follow each position.
Atoms (fractional coordinates):
Gd  0.1051  0.3527  0.2307  6 O 2.34-2.53
Gd  0.1420  0.1236  0.7301  4 O 2.34-2.59
Gd  0.8580  0.8764  0.2699  4 O 2.34-2.59
Gd  0.8949  0.6473  0.7693  6 O 2.34-2.53
Mo  0.2361  0.8157  0.1341  4 O 1.78-1.82
Mo  0.2747  0.5910  0.6309  4 O 1.77-1.84
Mo  0.7253  0.4090  0.3691  4 O 1.77-1.84
Mo  0.7639  0.1843  0.8659  4 O 1.78-1.82
Br  0.2419  0.0179  0.4836  2 Gd 2.93-2.95, 2 O 3.24-3.25
Br  0.3029  0.2831  0.0185  2 Gd 2.95-3.02, 2 O 3.13-3.16
Br  0.6971  0.7169  0.9815  2 Gd 2.95-3.02, 2 O 3.13-3.16
Br  0.7581  0.9821  0.5164  2 Gd 2.93-2.95, 2 O 3.24-3.25
O  0.1110  0.0234  0.1819  1 Mo 1.82
O  0.1256  0.6546  0.2005  1 Mo 1.82
O  0.1598  0.7974  0.7006  1 Mo 1.84
O  0.1735  0.7279  0.9607  1 Mo 1.78
O  0.1783  0.5058  0.4559  1 Mo 1.79
O  0.1989  0.4229  0.7032  1 Mo 1.80
O  0.4579  0.3628  0.3227  1 Mo 1.77
O  0.4967  0.1346  0.7931  1 Mo 1.78
O  0.5033  0.8654  0.2069  1 Mo 1.78
O  0.5421  0.6372  0.6773  1 Mo 1.77
O  0.8011  0.5771  0.2968  1 Mo 1.80
O  0.8217  0.4942  0.5441  1 Mo 1.79
O  0.8265  0.2721  0.0393  1 Mo 1.78
O  0.8402  0.2026  0.2994  1 Mo 1.84
O  0.8744  0.3454  0.7995  1 Mo 1.82
O  0.8890  0.9766  0.8181  1 Mo 1.82

Computed properties:
* V: 18.73 A^3/atom
* SG: P-1, No. 2
* ΔE_f: -57.70 kcal/mol of atoms
* final energy: -231.66 eV for the cell shown

---

2.
A plane-wave DFT calculation with PBE+U was carried out for crystalline Na4MgCo2O6 at its relaxed geometry.

Cell: 6.0524 6.1110 6.4062 Å, 93.81 116.20 117.62°
Closest atoms and distances in Å follow each position.
Atoms (fractional coordinates):
Na  0.0000  0.0000  0.0000  3 O 2.23-2.49
Na  0.0681  0.4865  0.4624  5 O 2.35-2.60
Na  0.4990  0.3362  0.5136  5 O 2.32-2.44
Na  0.6990  0.9693  0.4594  4 O 2.32-2.54
Mg  0.3751  0.0203  0.8459  4 O 1.95-2.05
Co  0.5338  0.4695  0.0835  4 O 1.83-1.93
Co  0.9993  0.4986  0.9637  4 O 1.81-2.01
O  0.0183  0.6819  0.7541  1 Co 1.81, 1 Mg 1.96
O  0.2556  0.2772  0.7409  1 Co 1.90, 1 Mg 2.05
O  0.3329  0.5234  0.2260  2 Co 1.90-1.93
O  0.5442  0.1891  0.2002  1 Co 1.93, 1 Mg 1.98
O  0.7011  0.1369  0.7957  1 Co 1.89, 1 Mg 1.95
O  0.9146  0.6804  0.1630  2 Co 1.83-2.01

Computed properties:
* V: 13.62 A^3/atom
* SG: P1, No. 1
* ΔE_f: -38.10 kcal/mol of atoms
* final energy: -64.87 eV for the cell shown

---

3.
A plane-wave DFT calculation with PBE+U was carried out for crystalline FeOF at its relaxed geometry.

Cell: 9.4661 3.0856 14.2357 Å, 90.00 90.06 90.00°
Closest atoms and distances in Å follow each position.
Atoms (fractional coordinates):
Fe  0.0000  0.0000  0.0000  1 O 1.87, 5 F 2.01-2.04
Fe  0.0040  0.0000  0.3357  4 O 1.99-2.00, 2 F 2.13-2.20
Fe  0.0151  0.0000  0.6569  3 O 1.94, 2 F 2.14
Fe  0.2536  0.5000  0.1889  3 O 1.89-1.93
Fe  0.2608  0.5000  0.5170  3 O 1.89-1.92, 3 F 2.05-2.06
Fe  0.2891  0.5000  0.8378  3 O 1.91-1.92
Fe  0.4907  0.0000  0.6672  3 O 1.91-1.94, 2 F 2.10
Fe  0.5049  0.0000  0.3289  3 O 1.93-1.95, 3 F 2.14
Fe  0.5115  0.0000  0.9977  4 O 1.97-1.99, 2 F 2.14
Fe  0.7212  0.5000  0.1689  3 O 1.93, 2 F 2.12
Fe  0.7572  0.5000  0.8509  3 O 1.90-1.99, 2 F 2.08
Fe  0.7841  0.5000  0.5021  3 O 1.90-1.95
O  0.0971  0.5000  0.2711  3 Fe 1.89-2.00
O  0.1151  0.5000  0.6072  3 Fe 1.89-1.94
O  0.3502  0.0000  0.2383  3 Fe 1.93-1.95
O  0.3510  0.0000  0.9073  3 Fe 1.92-1.99
O  0.3536  0.0000  0.5684  3 Fe 1.91-1.92
O  0.4185  0.5000  0.7349  3 Fe 1.91-1.94
O  0.6008  0.5000  0.2779  3 Fe 1.93
O  0.6025  0.5000  0.9363  3 Fe 1.90-1.97
O  0.6524  0.0000  0.1020  3 Fe 1.93-1.99
O  0.8559  0.0000  0.5707  3 Fe 1.94-1.95
O  0.8612  0.0000  0.9063  3 Fe 1.87-1.99
O  0.9094  0.5000  0.3980  3 Fe 1.90-1.99
F  0.1055  0.5000  0.9422  2 Fe 2.01
F  0.1514  0.0000  0.1016  3 Fe 2.04-2.20
F  0.1583  0.0000  0.7778  3 Fe 2.15-2.19
F  0.1670  0.0000  0.4458  3 Fe 2.05-2.20
F  0.4011  0.5000  0.0710  3 Fe 2.14-2.18
F  0.4055  0.5000  0.4089  3 Fe 2.06-2.14
F  0.6084  0.5000  0.6056  3 Fe 2.10-2.22
F  0.6554  0.0000  0.4414  3 Fe 2.14-2.15
F  0.6712  0.0000  0.7715  3 Fe 2.08-2.26
F  0.8477  0.0000  0.2278  3 Fe 2.12-2.13
F  0.9138  0.5000  0.0719  2 Fe 2.02
F  0.9154  0.5000  0.7377  3 Fe 2.14-2.20

Computed properties:
* V: 11.55 A^3/atom
* SG: Pm, No. 6
* ΔE_f: -46.79 kcal/mol of atoms
* final energy: -216.18 eV for the cell shown